# 1
# ScInPt (PBE, relaxed)
# - Formation enthalpy at 0 K: -0.906 eV per atom
# - Mass density: 9.93 g/cm3
# - Electronic total energy: -5.9576 eV/atom
# - Crystal system: hexagonal
data_ScInPt
_chemical_formula_sum 'Sc3 In3 Pt3'
_symmetry_space_group_name_H-M 'P -6 2 m'
_symmetry_Int_Tables_number 189
_symmetry_space_group_name_Hall 'P -6 -2'
_cell_length_a 7.6435
_cell_length_b 7.6435
_cell_length_c 3.5202
_cell_angle_alpha 90.00
_cell_angle_beta 90.00
_cell_angle_gamma 120.00
loop_
_atom_site_label
_atom_site_fract_x
_atom_site_fract_y
_atom_site_fract_z
Sc1 0.0000 0.3981 0.0000
In1 0.0000 0.7258 0.5000
Pt1 0.0000 0.0000 0.0000
Pt2 0.3333 0.6667 0.5000

***

# 2
# SmIn3Pt (PBE, relaxed)
# - Formation enthalpy at 0 K: -0.568 eV per atom
# - Mass density: 9.66 g/cm3
# - Electronic total energy: -4.3773 eV/atom
# - Crystal system: cubic
# - M_tot: 0.000 μB/atom
data_SmIn3Pt
_chemical_formula_sum 'Sm8 In24 Pt8'
_symmetry_space_group_name_H-M 'P m -3 n'
_symmetry_Int_Tables_number 223
_symmetry_space_group_name_Hall '-P 4n 2 3'
_cell_length_a 9.8252
_cell_length_b 9.8252
_cell_length_c 9.8252
_cell_angle_alpha 90.00
_cell_angle_beta 90.00
_cell_angle_gamma 90.00
loop_
_atom_site_label
_atom_site_fract_x
_atom_site_fract_y
_atom_site_fract_z
Sm1 0.0000 0.0000 0.0000
Sm2 0.0000 0.2500 0.5000
In1 0.0000 0.3143 0.1526
Pt1 0.2500 0.2500 0.2500

***

# 3
# Sr2InPt2 (PBE, relaxed)
# - Formation enthalpy at 0 K: -0.814 eV per atom
# - Mass density: 8.74 g/cm3
# - Electronic total energy: -4.4683 eV/atom
# - Crystal system: monoclinic
data_Sr2InPt2
_chemical_formula_sum 'Sr8 In4 Pt8'
_symmetry_space_group_name_H-M 'C 1 2/c 1'
_symmetry_Int_Tables_number 15
_cell_length_a 10.4935
_cell_length_b 6.0585
_cell_length_c 8.3555
_cell_angle_alpha 90.00
_cell_angle_beta 103.28
_cell_angle_gamma 90.00
loop_
_symmetry_equiv_pos_as_xyz
'x,y,z'
'-x,-y,-z'
'-x,y,-z+1/2'
'x,-y,z+1/2'
'x+1/2,y+1/2,z'
'-x+1/2,-y+1/2,-z'
'-x+1/2,y+1/2,-z+1/2'
'x+1/2,-y+1/2,z+1/2'
loop_
_atom_site_label
_atom_site_fract_x
_atom_site_fract_y
_atom_site_fract_z
Sr1 0.1479 0.1420 0.1471
In1 0.0000 0.3673 0.7500
Pt1 0.1386 0.3607 0.5025

***

# 4
# SrIn2Pt (PBE, relaxed)
# - Formation enthalpy at 0 K: -0.664 eV per atom
# - Mass density: 8.46 g/cm3
# - Electronic total energy: -3.9805 eV/atom
# - Crystal system: orthorhombic
data_SrIn2Pt
_chemical_formula_sum 'Sr4 In8 Pt4'
_symmetry_space_group_name_H-M 'C m c m'
_symmetry_Int_Tables_number 63
_symmetry_space_group_name_Hall '-C 2c 2'
_cell_length_a 4.5481
_cell_length_b 11.0391
_cell_length_c 8.0149
_cell_angle_alpha 90.00
_cell_angle_beta 90.00
_cell_angle_gamma 90.00
loop_
_atom_site_label
_atom_site_fract_x
_atom_site_fract_y
_atom_site_fract_z
Sr1 0.0000 0.0623 0.2500
In1 0.0000 0.3487 0.0537
Pt1 0.0000 0.2196 0.7500